Here is a geometry-optimized Ga2Te5 structure from Materials Project. Energies are from r²SCAN.

**Energy of formation**: -0.30 eV/atom
**E**: -21.72 eV/atom

a b c (Å): 8.135 8.135 6.919
angles (deg): 90.00 90.00 90.00
Space group I4/m (No. 87)
Inequivalent atoms, fractional coordinates:
Ga (0.000, 0.500, 0.250) (multiplicity 4)
Te (0.000, 0.000, 0.000) (multiplicity 2)
Te (0.172, 0.322, 0.500) (multiplicity 8)

Here is a geometry-optimized GaTe structure from Materials Project. Energies are from r²SCAN.

**Energy of formation**: -0.44 eV/atom
**E**: -18.87 eV/atom

a b c (Å): 4.0935 4.0935 17.5200
angles (deg): 90.00 90.00 120.00
Space group P6_3/mmc (No. 194)
Inequivalent atoms, fractional coordinates:
Ga (0.3333, 0.6667, 0.1803) (multiplicity 4)
Te (0.3333, 0.6667, 0.6087) (multiplicity 4)

Here is a geometry-optimized ZnGa2Te4 structure from Materials Project. Energies are from r²SCAN.

**Energy of formation**: -0.47 eV/atom
**E**: -19.54 eV/atom

a b c (Å): 6.014 6.014 11.923
angles (deg): 90.00 90.00 90.00
Space group I-4 (No. 82)
Inequivalent atoms, fractional coordinates:
Zn (0.000, 0.000, 0.000) (multiplicity 2)
Ga (0.000, 0.000, 0.500) (multiplicity 2)
Ga (0.000, 0.500, 0.750) (multiplicity 2)
Te (0.235, 0.262, 0.368) (multiplicity 8)

Here is a geometry-optimized ThGa2 structure from Materials Project. Energies are from r²SCAN.

**Energy of formation**: -0.74 eV/atom
**E**: -32.86 eV/atom

a b c (Å): 4.2349 4.2349 4.2862
angles (deg): 90.00 90.00 120.00
Space group P6/mmm (No. 191)
Inequivalent atoms, fractional coordinates:
Th (0.0000, 0.0000, 0.0000) (multiplicity 1)
Ga (0.3333, 0.6667, 0.5000) (multiplicity 2)

Here is a geometry-optimized Th2Ga structure from Materials Project. Energies are from r²SCAN.

**Energy of formation**: -0.41 eV/atom
**E**: -53.21 eV/atom

a b c (Å): 7.549 7.549 5.827
angles (deg): 90.00 90.00 90.00
Space group I4/mcm (No. 140)
Inequivalent atoms, fractional coordinates:
Th (0.158, 0.342, 0.000) (multiplicity 8)
Ga (0.000, 0.000, 0.250) (multiplicity 4)

Here is a geometry-optimized ThGa2 structure from Materials Project. Energies are from r²SCAN.

**Energy of formation**: -0.74 eV/atom
**E**: -32.87 eV/atom

a b c (Å): 4.264 4.264 14.637
angles (deg): 90.00 90.00 90.00
Space group I4_1/amd (No. 141, origin choice 2)
Inequivalent atoms, fractional coordinates:
Th (0.000, 0.250, 0.375) (multiplicity 4)
Ga (0.000, 0.250, 0.792) (multiplicity 8)